This record from the Materials Project database describes LiZn2AgWO6 after structural relaxation. The functional is GGA+U.

```
11
Lattice="3.0688 -3.5332 -3.6502 -0.1388 6.8337 0.0394 -0.0677 0.0662 7.1949" Properties=species:S:1:pos:R:3 pbc="T T T"
Zn 2.9307 -0.6264 2.1739
O 0.0143 1.8483 0.3284
O 1.2104 3.0679 4.5252
Li 1.5262 1.5624 1.6808
O 0.9979 -0.3179 1.7254
Zn 2.9574 0.1298 -2.2145
W 2.8408 3.2267 3.6025
Ag -0.0265 0.0440 3.6007
O 2.8228 1.2654 3.2897
O 1.8437 3.4753 1.8800
O 1.6054 0.0444 -0.9131
```

Summary:
symmetry: P1
polymorph energy (0 for the lowest one): 0.046 eV per atom
energy of formation from the pure elements: -1712 meV per atom